First-principles (PBE-GGA) data for an optimized crystal structure of GaSb, as listed in the Materials Project database.

Output
Piezoelectric modulus e_max = 0.273 C/m²
Crystal system = cubic
ΔE to the lowest computed polymorph = 0.00 eV/f.u.
Calculated formation energy = -252.8 meV/atom

```
2
Lattice="0.000 3.110 3.110 3.110 0.000 3.110 3.110 3.110 0.000" Properties=species:S:1:pos:R:3 pbc="T T T"
Ga 0.000 0.000 0.000
Sb 1.555 1.555 1.555
```

=====

First-principles (PBE-GGA) data for an optimized crystal structure of SmGaSb2, as listed in the Materials Project database.

Output
Crystal system = orthorhombic
ΔE to the lowest computed polymorph = 0.00 eV/f.u.
Calculated formation energy = -734.6 meV/atom

```
8
Lattice="-4.335 0.000 0.000 0.000 0.000 -4.373 2.168 -11.225 0.000" Properties=species:S:1:pos:R:3 pbc="T T T"
Ga -3.649 0.000 0.000
Ga -0.687 0.000 -2.186
Sb 0.000 -9.152 -1.093
Sb -2.168 -5.617 -1.093
Sb -2.168 -2.073 -3.280
Sb 0.000 -5.607 -3.280
Sm -2.168 -8.143 -3.280
Sm 0.000 -3.082 -1.093
```

=====

First-principles (PBE-GGA) data for an optimized crystal structure of SmGaSb2, as listed in the Materials Project database.

Output
Crystal system = tetragonal
ΔE to the lowest computed polymorph = 1.04 eV/f.u.
Calculated formation energy = -475.4 meV/atom

```
4
Lattice="-0.019 4.113 -1.396 -4.303 -0.207 -0.552 -0.855 2.004 5.915" Properties=species:S:1:pos:R:3 pbc="T T T"
Ga 0.000 0.000 0.000
Sb -2.161 1.953 -0.974
Sb -0.428 1.002 2.958
Sm -2.588 2.955 1.984
```